No. 1
Compound: PtC8N6
Source: the Materials Project database
Functional: PBE
Structure: optimized geometry

Unit cell a=14.5260 b=14.5260 c=6.3252 alpha=96.94 beta=96.94 gamma=135.12
Closest atoms and distances in Å follow each position.
Atoms (fractional coordinates):
Pt1 0.0000 0.0000 0.0000  4 N 1.96-1.97
Pt2 0.3824 0.7068 0.1676  4 N 1.95-1.97
Pt3 0.7068 0.3824 0.1676  4 N 1.95-1.97
C1 0.0015 0.3719 0.3487  3 C 1.39-1.42
C2 0.0218 0.7133 0.8798  3 C 1.39-1.42
C3 0.0488 0.8275 0.9318  1 N 1.17
C4 0.0696 0.6903 0.7219  1 N 1.17
C5 0.1226 0.4726 0.2967  1 N 1.17
C6 0.2241 0.2241 0.8068  1 N 1.17
C7 0.3000 0.9921 0.4935  1 N 1.17
C8 0.3136 0.3136 0.6967  3 C 1.38-1.41
C9 0.3181 0.4080 0.6424  1 N 1.17
C10 0.3512 0.8934 0.2675  1 N 1.17
C11 0.3719 0.0015 0.3487  3 C 1.39-1.42
C12 0.4080 0.3181 0.6424  1 N 1.17
C13 0.4726 0.1226 0.2967  1 N 1.17
C14 0.5266 0.6205 0.1594  1 N 1.17
C15 0.6133 0.9312 0.9790  1 N 1.17
C16 0.6205 0.5266 0.1594  1 N 1.17
C17 0.6270 0.6270 0.1498  3 C 1.40
C18 0.6903 0.0696 0.7219  1 N 1.17
C19 0.7133 0.0218 0.8798  3 C 1.39-1.42
C20 0.7456 0.7456 0.1142  1 N 1.17
C21 0.8275 0.0488 0.9318  1 N 1.17
C22 0.8934 0.3512 0.2675  1 N 1.17
C23 0.9312 0.6133 0.9790  1 N 1.17
C24 0.9921 0.3000 0.4935  1 N 1.17
N1 0.0651 0.9187 0.9940  1 C 1.17
N2 0.1063 0.6678 0.5908  1 C 1.17
N3 0.1541 0.1541 0.9125  1 C 1.17
N4 0.2221 0.5572 0.2502  1 C 1.17
N5 0.2387 0.9813 0.6118  1 C 1.17
N6 0.3291 0.4909 0.5983  1 C 1.17
N7 0.3308 0.8009 0.1879  1 C 1.17
N8 0.4565 0.6341 0.1616  1 C 1.17
N9 0.4909 0.3291 0.5983  1 C 1.17
N10 0.5330 0.8538 0.0653  1 C 1.17
N11 0.5572 0.2221 0.2502  1 C 1.17
N12 0.6341 0.4565 0.1616  1 C 1.17
N13 0.6678 0.1063 0.5908  1 C 1.17
N14 0.8010 0.3308 0.1879  1 C 1.17
N15 0.8442 0.8442 0.0838  1 C 1.17
N16 0.8538 0.5330 0.0653  1 C 1.17
N17 0.9187 0.0651 0.9940  1 C 1.17
N18 0.9813 0.2387 0.6118  1 C 1.17

Computed properties:
- energy above the most stable polymorph in this dataset (meV per atom) = 8.2

=====

No. 2
Compound: Rb2PtC4N4
Source: the Materials Project database
Functional: PBE
Structure: optimized geometry

Unit cell a=8.9818 b=8.9818 c=8.9818 alpha=127.24 beta=101.57 gamma=101.20
Closest atoms and distances in Å follow each position.
Atoms (fractional coordinates):
Rb1 0.0000 0.0000 0.0000  8 N 3.36-3.49, 8 C 3.51-3.58
Rb2 0.4712 0.7212 0.7500  8 N 3.13-3.38
Rb3 0.5000 0.0000 0.5000  8 N 3.36-3.49, 8 C 3.51-3.58
Rb4 0.5288 0.2788 0.2500  8 N 3.13-3.38
Pt1 0.0000 0.0000 0.5000  4 C 1.99
Pt2 0.0000 0.5000 0.0000  4 C 1.99
C1 0.1740 0.1584 0.4844  1 N 1.18
C2 0.1740 0.6895 0.0156  1 N 1.18
C3 0.1752 0.0000 0.6752  1 N 1.18
C4 0.1752 0.5000 0.1752  1 N 1.18
C5 0.8248 0.0000 0.3248  1 N 1.18
C6 0.8248 0.5000 0.8248  1 N 1.18
C7 0.8260 0.3105 0.9844  1 N 1.18
C8 0.8260 0.8416 0.5156  1 N 1.18
N1 0.2768 0.2492 0.4724  1 C 1.18
N2 0.2768 0.8043 0.0276  1 C 1.18
N3 0.2787 0.0000 0.7787  1 C 1.18
N4 0.2787 0.5000 0.2787  1 C 1.18
N5 0.7213 0.0000 0.2213  1 C 1.18
N6 0.7213 0.5000 0.7213  1 C 1.18
N7 0.7232 0.1957 0.9724  1 C 1.18
N8 0.7232 0.7508 0.5276  1 C 1.18

=====

no.,formation energy (eV/f.u.)
1,5.54
2,-3.54